This record from the Materials Project describes an optimized crystal structure of Mg16Al12Bi. The functional is PBE.

Computed properties:
Energy above the most stable polymorph in this dataset   0.0 meV/atom
Total DFT energy (no corrections)   -2.5729 eV per atom

a b c (Å): 14.8749 14.8749 9.3308
angles (deg): 90.00 90.00 120.00
Space group R3m (No. 160, hexagonal axes)
Symmetry-distinct sites (fractional):
Mg 0.0000 0.0000 0.0000
Mg 0.0124 0.3044 0.3025
Mg 0.0687 0.5343 0.2150
Mg 0.2107 0.1053 0.4949
Mg 0.2175 0.4350 0.7784
Al 0.0626 0.1251 0.2958
Al 0.0893 0.5446 0.7235
Al 0.1453 0.4778 0.4836
Bi 0.0000 0.0000 0.6555